1.
# PrSmSeS

A relaxed PrSmSeS crystal (PBE, the Materials Project).

a = 4.1488 Å, b = 4.1488 Å, c = 5.8522 Å
α = 90.00°, β = 90.00°, γ = 90.00°
Space group P4/mmm (No. 123)
Symmetry-distinct sites (fractional):
Pr (0.0000, 0.0000, 0.0000) (multiplicity 1)
Sm (0.5000, 0.5000, 0.5000) (multiplicity 1)
Se (0.5000, 0.5000, 0.0000) (multiplicity 1)
S (0.0000, 0.0000, 0.5000) (multiplicity 1)



2.
# Pr4Si3S12

A relaxed Pr4Si3S12 crystal (PBE, the Materials Project).

a = 19.3380 Å, b = 19.3380 Å, c = 8.0370 Å
α = 90.00°, β = 90.00°, γ = 120.00°
Space group R3c (No. 161, hexagonal axes)
Symmetry-distinct sites (fractional):
Pr (0.0000, 0.0000, 0.0000) (multiplicity 6)
Pr (0.1050, 0.4352, 0.4610) (multiplicity 18)
Si (0.0135, 0.1995, 0.3447) (multiplicity 18)
S (0.0475, 0.4867, 0.1653) (multiplicity 18)
S (0.0601, 0.1257, 0.2504) (multiplicity 18)
S (0.0657, 0.3985, 0.8186) (multiplicity 18)
S (0.2016, 0.0835, 0.4945) (multiplicity 18)



3.
# Pr6Si4S17

A relaxed Pr6Si4S17 crystal (PBE, the Materials Project).

a = 9.0411 Å, b = 10.0755 Å, c = 14.3808 Å
α = 81.99°, β = 86.88°, γ = 89.32°
Space group P-1 (No. 2)
Symmetry-distinct sites (fractional):
Pr (0.0187, 0.2692, 0.4595) (multiplicity 2)
Pr (0.0836, 0.5801, 0.1657) (multiplicity 2)
Pr (0.1066, 0.8850, 0.8165) (multiplicity 2)
Pr (0.3318, 0.9112, 0.3422) (multiplicity 2)
Pr (0.3700, 0.5660, 0.6754) (multiplicity 2)
Pr (0.4482, 0.2385, 0.0012) (multiplicity 2)
Si (0.2307, 0.9376, 0.0988) (multiplicity 2)
Si (0.2490, 0.9994, 0.5838) (multiplicity 2)
Si (0.2509, 0.5601, 0.9228) (multiplicity 2)
Si (0.2747, 0.5586, 0.3944) (multiplicity 2)
S (0.0095, 0.8722, 0.1145) (multiplicity 2)
S (0.0153, 0.9920, 0.6232) (multiplicity 2)
S (0.0414, 0.6475, 0.9518) (multiplicity 2)
S (0.0692, 0.6433, 0.7221) (multiplicity 2)
S (0.1075, 0.7013, 0.3456) (multiplicity 2)
S (0.1847, 0.4814, 0.5322) (multiplicity 2)
S (0.2471, 0.1129, 0.1670) (multiplicity 2)
S (0.2579, 0.3859, 0.8513) (multiplicity 2)
S (0.2967, 0.8078, 0.5407) (multiplicity 2)
S (0.3001, 0.4116, 0.3034) (multiplicity 2)
S (0.3060, 0.1328, 0.4613) (multiplicity 2)
S (0.3213, 0.9814, 0.9570) (multiplicity 2)
S (0.3404, 0.5014, 0.0564) (multiplicity 2)
S (0.3552, 0.0292, 0.7062) (multiplicity 2)
S (0.3666, 0.7824, 0.1663) (multiplicity 2)
S (0.3831, 0.7125, 0.8391) (multiplicity 2)
S (0.4824, 0.6536, 0.3965) (multiplicity 2)



4.
# PrSm3S4

A relaxed PrSm3S4 crystal (PBE, the Materials Project).

a = 4.0276 Å, b = 4.0276 Å, c = 39.7593 Å
α = 90.00°, β = 90.00°, γ = 120.00°
Space group R-3m (No. 166, hexagonal axes)
Symmetry-distinct sites (fractional):
Pr (0.0000, 0.0000, 0.0000) (multiplicity 3)
Sm (0.0000, 0.0000, 0.2492) (multiplicity 6)
Sm (0.0000, 0.0000, 0.5000) (multiplicity 3)
S (0.0000, 0.0000, 0.1254) (multiplicity 6)
S (0.0000, 0.0000, 0.3770) (multiplicity 6)



5.
# SrPr2S4

A relaxed SrPr2S4 crystal (PBE, the Materials Project).

Summary:
Its largest piezoelectric modulus is 0.4 C/m2.

a = 8.7439 Å, b = 8.7439 Å, c = 8.7457 Å
α = 90.00°, β = 90.00°, γ = 90.00°
Space group I-42d (No. 122)
Symmetry-distinct sites (fractional):
Sr (0.0000, 0.0000, 0.0000) (multiplicity 4)
Pr (0.1273, 0.7500, 0.6250) (multiplicity 8)
S (0.0760, 0.6732, 0.9425) (multiplicity 16)



6.
# Pr2ThS5

A relaxed Pr2ThS5 crystal (PBE, the Materials Project).

a = 12.1007 Å, b = 8.2849 Å, c = 7.5980 Å
α = 90.00°, β = 90.00°, γ = 90.00°
Space group Pnma (No. 62)
Symmetry-distinct sites (fractional):
Pr (0.1777, 0.0000, 0.0216) (multiplicity 8)
Th (0.0099, 0.2500, 0.5747) (multiplicity 4)
S (0.0010, 0.2500, 0.9586) (multiplicity 4)
S (0.0983, 0.5425, 0.6635) (multiplicity 8)
S (0.1871, 0.2500, 0.3278) (multiplicity 4)
S (0.2161, 0.7500, 0.3018) (multiplicity 4)



7.
# PrThUS5

A relaxed PrThUS5 crystal (PBE, the Materials Project).

a = 7.4887 Å, b = 8.0790 Å, c = 12.0445 Å
α = 90.00°, β = 90.00°, γ = 90.00°
Space group P2_12_12_1 (No. 19)
Symmetry-distinct sites (fractional):
Pr (0.0234, 0.2491, 0.4298) (multiplicity 4)
Th (0.0228, 0.7494, 0.4262) (multiplicity 4)
U (0.0708, 0.9988, 0.7440) (multiplicity 4)
S (0.0411, 0.9996, 0.2495) (multiplicity 4)
S (0.1621, 0.2906, 0.6544) (multiplicity 4)
S (0.1642, 0.7083, 0.6493) (multiplicity 4)
S (0.1706, 0.4913, 0.9365) (multiplicity 4)
S (0.1977, 0.0077, 0.9645) (multiplicity 4)



8.
# PrTm3S6

A relaxed PrTm3S6 crystal (PBE, the Materials Project).

a = 11.0447 Å, b = 3.9660 Å, c = 11.2635 Å
α = 90.00°, β = 108.91°, γ = 90.00°
Space group P2_1/m (No. 11)
Symmetry-distinct sites (fractional):
Pr (0.0496, 0.2500, 0.1953) (multiplicity 2)
Tm (0.1611, 0.2500, 0.5867) (multiplicity 2)
Tm (0.3202, 0.7500, 0.9988) (multiplicity 2)
Tm (0.4409, 0.2500, 0.3332) (multiplicity 2)
S (0.0813, 0.7500, 0.4069) (multiplicity 2)
S (0.1201, 0.2500, 0.9639) (multiplicity 2)
S (0.1963, 0.7500, 0.7485) (multiplicity 2)
S (0.2666, 0.7500, 0.2287) (multiplicity 2)
S (0.3946, 0.2500, 0.5593) (multiplicity 2)
S (0.4777, 0.2500, 0.1120) (multiplicity 2)



9.
# Pr4Tm11S22

A relaxed Pr4Tm11S22 crystal (PBE, the Materials Project).

a = 38.9438 Å, b = 3.9283 Å, c = 11.3019 Å
α = 90.00°, β = 91.46°, γ = 90.00°
Space group C2/m (No. 12)
Symmetry-distinct sites (fractional):
Pr (0.1045, 0.0000, 0.0129) (multiplicity 4)
Pr (0.1331, 0.5000, 0.6513) (multiplicity 4)
Tm (0.0000, 0.0000, 0.0000) (multiplicity 2)
Tm (0.0382, 0.5000, 0.7293) (multiplicity 4)
Tm (0.0697, 0.0000, 0.3611) (multiplicity 4)
Tm (0.1578, 0.5000, 0.3008) (multiplicity 4)
Tm (0.2024, 0.0000, 0.9418) (multiplicity 4)
Tm (0.2366, 0.5000, 0.6482) (multiplicity 4)
S (0.0078, 0.0000, 0.2399) (multiplicity 4)
S (0.0466, 0.5000, 0.9691) (multiplicity 4)
S (0.0551, 0.5000, 0.5064) (multiplicity 4)
S (0.0872, 0.0000, 0.7531) (multiplicity 4)
S (0.0928, 0.5000, 0.2137) (multiplicity 4)
S (0.1349, 0.0000, 0.4520) (multiplicity 4)
S (0.1501, 0.5000, 0.9080) (multiplicity 4)
S (0.1690, 0.0000, 0.1519) (multiplicity 4)
S (0.1896, 0.0000, 0.6914) (multiplicity 4)
S (0.2198, 0.5000, 0.4107) (multiplicity 4)
S (0.2450, 0.5000, 0.8809) (multiplicity 4)



10.
# PrU2S5

A relaxed PrU2S5 crystal (PBE, the Materials Project).

a = 11.8166 Å, b = 7.4526 Å, c = 8.0317 Å
α = 90.00°, β = 90.00°, γ = 90.00°
Space group Pna2_1 (No. 33)
Symmetry-distinct sites (fractional):
Pr (0.1771, 0.0250, 0.0000) (multiplicity 4)
U (0.0077, 0.5746, 0.7502) (multiplicity 4)
U (0.1802, 0.0198, 0.5019) (multiplicity 4)
S (0.0012, 0.9586, 0.7521) (multiplicity 4)
S (0.0936, 0.6711, 0.4554) (multiplicity 4)
S (0.0993, 0.6551, 0.0426) (multiplicity 4)
S (0.1871, 0.3303, 0.7501) (multiplicity 4)
S (0.2156, 0.3009, 0.2514) (multiplicity 4)



11.
# Pr2US5

A relaxed Pr2US5 crystal (PBE, the Materials Project).

a = 11.9901 Å, b = 8.1202 Å, c = 7.5429 Å
α = 90.00°, β = 90.00°, γ = 90.00°
Space group Pnma (No. 62)
Symmetry-distinct sites (fractional):
Pr (0.1771, 0.9997, 0.0238) (multiplicity 8)
U (0.0093, 0.2500, 0.5716) (multiplicity 4)
S (0.0008, 0.2500, 0.9535) (multiplicity 4)
S (0.0941, 0.5423, 0.6596) (multiplicity 8)
S (0.1854, 0.2500, 0.3308) (multiplicity 4)
S (0.2134, 0.7500, 0.3036) (multiplicity 4)



12.
# PrY3S6

A relaxed PrY3S6 crystal (PBE, the Materials Project).

a = 11.1480 Å, b = 4.0083 Å, c = 11.3688 Å
α = 90.00°, β = 108.92°, γ = 90.00°
Space group P2_1/m (No. 11)
Symmetry-distinct sites (fractional):
Pr (0.0488, 0.2500, 0.1939) (multiplicity 2)
Y (0.1610, 0.2500, 0.5860) (multiplicity 2)
Y (0.3198, 0.7500, 0.9989) (multiplicity 2)
Y (0.4401, 0.2500, 0.3331) (multiplicity 2)
S (0.0811, 0.7500, 0.4047) (multiplicity 2)
S (0.1174, 0.2500, 0.9633) (multiplicity 2)
S (0.1943, 0.7500, 0.7487) (multiplicity 2)
S (0.2646, 0.7500, 0.2284) (multiplicity 2)
S (0.3946, 0.2500, 0.5594) (multiplicity 2)
S (0.4784, 0.2500, 0.1119) (multiplicity 2)



no.,formation energy from the elements (eV per atom)
1,-2.01
2,-1.73
3,-1.78
4,-2.28
5,-2.37
6,-2.37
7,-2.13
8,-2.38
9,-2.35
10,-1.93
11,-2.15
12,-2.39